--- one ---
Material: Na2LiNi3O6
Method: DFT, PBE+U
State: relaxed Values from VASP.

Values from the calculation:
Magnetic moment, μB/cell: 3.0
Space group: No. 2
Mass density, kg/m³: 4587

The structure in Quantum ESPRESSO input format:
```
&SYSTEM
  ibrav = 0, nat = 12, ntyp = 4
/
ATOMIC_SPECIES
Na 22.99 Na.upf
Li 6.94 Li.upf
Ni 58.69 Ni.upf
O 16.00 O.upf
CELL_PARAMETERS angstrom
0.234 13.367 9.049
2.779 9.005 4.525
0.133 9.826 3.317
ATOMIC_POSITIONS angstrom
Na 2.902 18.828 7.856
Na 0.087 4.459 3.002
Li 2.935 17.917 10.557
Ni 1.495 11.644 5.429
Ni 1.587 16.123 8.451
Ni 1.637 20.531 11.457
O 0.824 7.813 4.159
O 2.166 15.473 6.698
O 0.908 12.233 7.147
O 2.187 19.872 9.737
O 1.037 16.783 10.169
O 2.316 24.421 12.761
```



--- two ---
Material: Na2LiNi3O6
Method: DFT, PBE+U
State: relaxed Values from VASP.

Values from the calculation:
Magnetic moment, μB/cell: 6.0
Mass density, kg/m³: 4606

The structure in Quantum ESPRESSO input format:
```
&SYSTEM
  ibrav = 0, nat = 24, ntyp = 4
/
ATOMIC_SPECIES
Na 22.99 Na.upf
Li 6.94 Li.upf
Ni 58.69 Ni.upf
O 16.00 O.upf
CELL_PARAMETERS angstrom
-1.511 2.616 0.001
-0.147 1.663 10.268
5.782 5.080 -0.101
ATOMIC_POSITIONS angstrom
Na -1.494 2.626 0.011
Na 1.324 5.998 5.095
Na -0.135 3.412 5.108
Na 2.683 6.784 10.192
Li 1.423 2.565 -0.033
Li 4.241 5.937 5.050
Ni 2.759 5.083 7.643
Ni -0.187 5.127 7.697
Ni 4.193 7.654 7.590
Ni -0.059 1.711 2.559
Ni 2.778 6.835 2.513
Ni 1.375 4.282 2.506
O -0.194 3.381 8.735
O 2.771 5.089 3.551
O -0.070 1.705 6.651
O 2.894 3.413 1.466
O 1.351 2.526 3.546
O 4.168 5.898 8.630
O 1.349 4.268 6.656
O 4.314 5.976 1.472
O 0.020 3.500 1.448
O 2.837 6.871 6.531
O 1.169 5.910 8.756
O 4.134 7.618 3.571
```



Quick one: least stable of them? two